1.
DFT (PBE-GGA) results for a relaxed structure of MgAg2Br2O4.

Lattice parameters (Å, degrees): 4.363 3.782 10.518 90.00 99.45 90.00
Space group Pm (No. 6)
One atom of each set of equivalent atoms:
Mg (0.000, 0.000, 0.000) [1 per cell]
Ag (0.310, 0.500, 0.288) [1 per cell]
Ag (0.952, 0.000, 0.548) [1 per cell]
Br (0.453, 0.500, 0.554) [1 per cell]
Br (0.799, 0.000, 0.262) [1 per cell]
O (0.049, 0.000, 0.796) [1 per cell]
O (0.176, 0.500, 0.053) [1 per cell]
O (0.332, 0.000, 0.860) [1 per cell]
O (0.845, 0.500, 0.990) [1 per cell]

## Properties
For the MP2020-corrected energy, the calculation gives -35.2 eV per cell. The polymorph energy (0 for the lowest one) comes out at 6.2 meV per atom.

---

2.
DFT (PBE-GGA) results for a relaxed structure of Rb2NdAgBr6.

Lattice parameters (Å, degrees): 11.499 11.499 11.499 90.00 90.00 90.00
Space group Fm-3m (No. 225)
One atom of each set of equivalent atoms:
Rb (0.250, 0.250, 0.250) [8 per cell]
Nd (0.000, 0.000, 0.000) [4 per cell]
Ag (0.000, 0.000, 0.500) [4 per cell]
Br (0.000, 0.000, 0.251) [24 per cell]

## Properties
For the MP2020-corrected energy, the calculation gives -151.7 eV per cell.

---

3.
DFT (PBE-GGA) results for a relaxed structure of Rb2AgSbBr6.

Lattice parameters (Å, degrees): 11.311 11.311 11.311 90.00 90.00 90.00
Space group Fm-3m (No. 225)
One atom of each set of equivalent atoms:
Rb (0.250, 0.250, 0.250) [8 per cell]
Ag (0.000, 0.000, 0.000) [4 per cell]
Sb (0.000, 0.000, 0.500) [4 per cell]
Br (0.000, 0.000, 0.251) [24 per cell]

## Properties
For the MP2020-corrected energy, the calculation gives -129.7 eV per cell.

---

Number 1: DFT total energy -3.8348 eV/atom, formation enthalpy at 0 K -12.366 kcal/mol of atoms. Number 2: DFT total energy -3.4714 eV/atom, formation enthalpy at 0 K -42.741 kcal/mol of atoms. Number 3: DFT total energy -2.9213 eV/atom, formation enthalpy at 0 K -31.531 kcal/mol of atoms.